Record 1
r2SCAN NpSb3, relaxed; total moment = 3.8 μB/f.u.; ρ = 9.3 g/cm³; energy of formation = -0.3828 eV per atom; uncorrected energy = -40.4186 eV/atom
1.0
-2.231 2.231 5.398
2.231 -2.231 5.398
2.231 2.231 -5.398
Np Sb
1 3
Direct
0.000 0.000 0.000
0.250 0.750 0.500
0.500 0.500 0.000
0.750 0.250 0.500



Record 2
r2SCAN BaS4O13, relaxed; total moment = 0.0 μB/f.u.; ρ = 3.0 g/cm³; energy of formation = -1.6208 eV per atom; uncorrected energy = -9.1918 eV/atom
1.0
4.643 -5.917 0.000
4.643 5.917 0.000
-1.355 0.000 9.474
Ba S O
2 8 26
Direct
0.197 0.803 0.750
0.803 0.197 0.250
0.198 0.289 0.576
0.231 0.576 0.117
0.289 0.198 0.076
0.424 0.769 0.383
0.576 0.231 0.617
0.711 0.802 0.924
0.769 0.424 0.883
0.802 0.711 0.424
0.060 0.511 0.169
0.115 0.143 0.129
0.118 0.305 0.439
0.143 0.115 0.629
0.238 0.449 0.676
0.259 0.737 0.046
0.263 0.741 0.454
0.292 0.428 0.029
0.305 0.118 0.939
0.391 0.609 0.250
0.428 0.292 0.529
0.449 0.238 0.176
0.489 0.940 0.331
0.511 0.060 0.669
0.551 0.762 0.824
0.572 0.708 0.471
0.609 0.391 0.750
0.695 0.882 0.061
0.708 0.572 0.971
0.737 0.259 0.546
0.741 0.263 0.954
0.762 0.551 0.324
0.857 0.885 0.371
0.882 0.695 0.561
0.885 0.857 0.871
0.940 0.489 0.831



Record 3
r2SCAN PrAsS, relaxed; total moment = 0.0 μB/f.u.; ρ = 5.9 g/cm³; energy of formation = -1.7957 eV per atom; uncorrected energy = -19.1775 eV/atom
1.0
17.655 0.000 0.000
0.000 3.939 0.000
0.000 0.000 4.014
Pr As S
4 4 4
Direct
0.146 0.250 0.229
0.354 0.750 0.729
0.646 0.250 0.271
0.854 0.750 0.771
0.002 0.250 0.702
0.498 0.750 0.202
0.502 0.250 0.798
0.998 0.750 0.298
0.187 0.750 0.732
0.313 0.250 0.232
0.687 0.750 0.768
0.813 0.250 0.268



Record 4
r2SCAN HfI4, relaxed; total moment = 0.0 μB/f.u.; ρ = 5.2 g/cm³; energy of formation = -1.0560 eV per atom; uncorrected energy = -29.7332 eV/atom
1.0
6.092 -6.074 0.000
6.092 6.074 0.000
-5.742 0.000 11.744
Hf I
4 16
Direct
0.061 0.787 0.876
0.213 0.939 0.624
0.787 0.061 0.376
0.939 0.213 0.124
0.049 0.284 0.366
0.052 0.828 0.383
0.172 0.948 0.117
0.181 0.424 0.137
0.284 0.049 0.866
0.305 0.590 0.889
0.410 0.695 0.611
0.424 0.181 0.637
0.576 0.819 0.363
0.590 0.305 0.389
0.695 0.410 0.111
0.716 0.951 0.134
0.819 0.576 0.863
0.828 0.052 0.883
0.948 0.172 0.617
0.951 0.716 0.634



Record 5
r2SCAN SmAl8Co2, relaxed; total moment = 0.0 μB/f.u.; ρ = 4.6 g/cm³; energy of formation = -0.4586 eV per atom; uncorrected energy = -10.4639 eV/atom
1.0
12.347 0.000 0.000
0.000 14.249 0.000
0.000 0.000 3.964
Sm Al Co
4 32 8
Direct
0.160 0.182 0.000
0.340 0.682 0.000
0.660 0.318 0.000
0.840 0.818 0.000
0.000 0.000 0.000
0.000 0.500 0.500
0.026 0.868 0.500
0.047 0.321 0.500
0.096 0.748 0.000
0.159 0.456 0.000
0.159 0.621 0.500
0.169 0.008 0.500
0.236 0.828 0.500
0.264 0.328 0.500
0.331 0.508 0.500
0.341 0.121 0.500
0.341 0.956 0.000
0.404 0.248 0.000
0.453 0.821 0.500
0.474 0.368 0.500
0.500 0.000 0.500
0.500 0.500 0.000
0.526 0.632 0.500
0.547 0.179 0.500
0.596 0.752 0.000
0.659 0.044 0.000
0.659 0.879 0.500
0.669 0.492 0.500
0.736 0.672 0.500
0.764 0.172 0.500
0.831 0.992 0.500
0.841 0.379 0.500
0.841 0.544 0.000
0.904 0.252 0.000
0.953 0.679 0.500
0.974 0.132 0.500
0.034 0.595 0.000
0.152 0.904 0.000
0.348 0.404 0.000
0.466 0.095 0.000
0.534 0.905 0.000
0.652 0.596 0.000
0.848 0.096 0.000
0.966 0.405 0.000



Record 6
r2SCAN TmGePt, relaxed; total moment = 0.0 μB/f.u.; ρ = 12.9 g/cm³; energy of formation = -1.2472 eV per atom; uncorrected energy = -34.7408 eV/atom
1.0
6.906 0.000 0.000
0.000 4.323 0.000
0.000 0.000 7.524
Tm Ge Pt
4 4 4
Direct
0.003 0.250 0.205
0.497 0.750 0.705
0.503 0.250 0.295
0.997 0.750 0.795
0.191 0.250 0.589
0.309 0.750 0.089
0.691 0.250 0.911
0.809 0.750 0.411
0.206 0.750 0.416
0.294 0.250 0.916
0.706 0.750 0.084
0.794 0.250 0.584